Entry 1:
Density functional theory data (PBE-GGA) for Dy4CdIr after structural relaxation.

Structure (POSCAR):
```
Dy4CdIr
1.0
0.0000 6.8238 6.8238
6.8238 0.0000 6.8238
6.8238 6.8238 0.0000
Dy Cd Ir
16 4 4
Cartesian
0.8291 3.4119 3.4119
6.8238 11.0917 6.8238
8.1743 5.4733 5.4733
11.0917 6.8238 6.8238
8.1743 8.1743 8.1743
6.8238 6.8238 11.0917
3.4119 3.4119 5.9947
3.4119 3.4119 0.8291
2.5558 6.8238 6.8238
6.8238 6.8238 2.5558
5.9947 3.4119 3.4119
5.4733 5.4733 8.1743
3.4119 5.9947 3.4119
5.4733 8.1743 5.4733
3.4119 0.8291 3.4119
6.8238 2.5558 6.8238
9.1258 11.3455 9.1258
9.1258 9.1258 11.3455
11.3455 9.1258 9.1258
11.3455 11.3455 11.3455
5.3497 5.3497 5.3497
5.3497 8.2978 8.2978
8.2978 8.2978 5.3497
8.2978 5.3497 8.2978
```

Summary:
Space group: F-43m, No. 216



Entry 2:
Density functional theory data (PBE-GGA) for AuSe after structural relaxation.

Structure (POSCAR):
```
AuSe
1.0
1.8741 4.7507 0.0000
-1.8741 4.7507 0.0000
0.0000 1.5563 6.2579
Au Se
2 2
Cartesian
0.0000 0.0000 0.0000
0.0000 5.5289 3.1290
0.0000 1.7294 1.7273
0.0000 9.3283 4.5307
```

Summary:
Space group: C2/m, No. 12
Energy with MP2020 corrections in Ry per atom: -0.27354



Entry 3:
Density functional theory data (PBE-GGA) for NdEr3Fe34 after structural relaxation.

Structure (POSCAR):
```
NdEr3Fe34
1.0
1.9111 0.4423 -8.0057
-0.3428 8.4821 0.3868
7.3245 -4.0294 1.5259
Fe Er Nd
34 3 1
Cartesian
1.8485 6.6320 -3.3051
1.6017 3.2989 -5.8002
5.5473 4.5970 -2.5350
5.7267 5.9296 -4.6701
3.3738 4.5802 -4.0960
9.0509 0.6530 -6.2796
3.7150 2.1366 -5.3599
3.9189 4.7064 -6.3796
1.1250 2.1411 0.2569
3.3623 0.2993 -3.5704
3.5122 7.1484 -5.1314
4.9711 0.1880 0.2983
1.4976 5.8636 -5.6833
7.3819 -0.9713 -0.4130
7.7581 2.7413 -6.3365
2.0220 2.3487 -3.5008
5.5219 0.3155 -2.0088
8.0998 0.4329 -2.2957
3.0728 1.3995 -1.3107
4.6253 -1.7830 -3.2476
7.0410 -1.7249 -2.8041
4.4547 2.4382 -3.0553
5.8253 3.4824 -4.7818
0.9517 6.4245 0.4517
3.1705 -1.0213 -1.4211
5.3890 -2.2423 -0.9590
5.1871 2.7479 -0.7315
6.8685 2.5355 -2.6099
7.9306 -1.5190 -6.5306
5.4057 2.6583 -7.0388
7.2776 1.5980 -0.2960
4.2519 0.5052 -7.2970
4.6503 4.3894 1.2227
5.5764 -1.5629 -7.2315
7.8022 -3.9187 -0.4755
6.2027 0.4719 -4.8580
8.7575 -3.6971 -4.4784
2.6910 4.4218 -1.2349
```

Summary:
Space group: P-6m2, No. 187



Entry 4:
Density functional theory data (PBE-GGA) for AgH9C7S2O4F4 after structural relaxation.

Structure (POSCAR):
```
AgH9C7S2O4F4
1.0
6.8961 0.0000 0.0000
0.9214 8.4639 0.0000
1.1004 0.3791 11.0883
O F H C S Ag
8 8 18 14 4 2
Cartesian
6.8845 6.5687 7.0643
1.9039 7.1964 8.5769
3.8235 6.8173 9.7246
2.0334 2.2743 4.0240
5.8728 8.4068 7.9668
5.0945 2.0258 1.3637
7.0141 1.6466 2.5114
3.0451 0.4362 3.1216
6.2154 3.4092 4.3828
4.8558 6.2333 5.4283
4.4784 4.9214 7.9230
2.7025 5.4338 6.7055
4.4395 3.9216 3.1654
5.1192 0.8498 4.8179
4.0621 2.6097 5.6600
3.7987 7.9932 6.2704
7.3964 1.5088 6.9603
1.1797 2.0029 3.4647
2.7260 1.1225 8.3874
7.7344 5.5600 10.6174
2.9005 3.1672 0.9819
7.7689 3.2746 6.8852
3.5985 4.3181 10.5082
1.5215 7.3342 4.1281
5.8531 5.9661 2.7697
1.1491 5.5684 4.2031
6.1554 2.7161 7.4153
6.1919 7.7205 2.7009
6.0175 5.6758 10.1064
2.7625 6.1269 3.6730
3.0648 2.8769 8.3186
7.7382 6.8402 7.6236
5.3195 4.5249 0.5801
1.1836 3.2830 0.4710
4.5736 6.8975 6.5955
7.2265 2.4873 7.4224
6.3070 6.7678 2.1705
5.8370 2.1154 2.3578
1.6914 6.3557 3.6660
3.0810 6.7276 8.7305
6.7041 5.6923 10.9604
5.2264 2.8656 3.5928
2.2139 3.1507 0.1279
5.8822 7.3841 7.2900
3.0357 1.4589 3.7983
2.6109 2.0752 8.9179
3.6916 5.9774 7.4956
4.3443 1.9455 4.4928
7.7475 2.4788 9.1563
1.1704 6.3642 1.9320
3.5472 1.9092 10.4473
5.3708 6.9339 0.6410
2.1888 8.3363 0.8014
6.7291 0.5067 10.2869
```

Summary:
Space group: P-1, No. 2
Energy with MP2020 corrections in Ry per atom: -0.42615



| no. | energy of formation (eV/atom) |
| --- | --- |
| 1 | -0.526 |
| 2 | -0.337 |
| 3 | -0.001 |
| 4 | -0.847 |